Ba2BiSbO6 | Materials Project | PBE-GGA | relaxed; space group = No. 2; calculated formation energy = -1500 meV/atom; corrected total energy (MP2020 scheme) = -5.6550 eV per atom
1.0
6.1996 0.0000 0.0000
-1.2110 6.3523 0.0000
-2.6690 -2.3624 6.4018
Ba Bi Sb O
2 1 1 6
Direct
0.1682 0.3685 0.2250
0.8318 0.6315 0.7750
0.0000 0.0000 0.5000
0.5000 0.0000 0.5000
0.0151 0.2764 0.8035
0.2078 0.8337 0.1819
0.4421 0.7199 0.5597
0.5579 0.2801 0.4403
0.7922 0.1663 0.8181
0.9849 0.7236 0.1965